Compound: Mg3SiO4F2
Source: the Materials Project
Functional: PBE
Structure: optimized geometry

Summary:
As for the symmetry: Pnma. As for the energy: -6.44 eV per atom.

Cell lengths 4.760, 8.842, 10.391 Å; angles 90.00, 90.00, 90.00 degrees
Fractional coordinates of all 40 atoms:
F 0.728 0.416 0.033
Mg 0.494 0.750 0.407
Mg 0.490 0.930 0.133
O 0.268 0.397 0.209
O 0.278 0.250 0.426
O 0.768 0.897 0.291
Mg 0.006 0.750 0.907
O 0.768 0.603 0.291
O 0.722 0.750 0.574
Mg 0.994 0.250 0.093
Si 0.920 0.750 0.220
O 0.268 0.103 0.209
Mg 0.506 0.250 0.593
O 0.262 0.750 0.221
O 0.732 0.603 0.791
F 0.772 0.416 0.533
Mg 0.510 0.070 0.867
Si 0.420 0.250 0.280
Mg 0.990 0.430 0.367
Si 0.080 0.250 0.780
F 0.272 0.584 0.967
O 0.232 0.103 0.709
Mg 0.490 0.570 0.133
Mg 0.010 0.570 0.633
Mg 0.010 0.930 0.633
F 0.728 0.084 0.033
O 0.732 0.897 0.791
O 0.232 0.397 0.709
F 0.228 0.916 0.467
F 0.272 0.916 0.967
O 0.778 0.750 0.074
O 0.238 0.750 0.721
O 0.738 0.250 0.779
Si 0.580 0.750 0.720
O 0.762 0.250 0.279
Mg 0.990 0.070 0.367
F 0.228 0.584 0.467
O 0.222 0.250 0.926
Mg 0.510 0.430 0.867
F 0.772 0.084 0.533



Compound: B2O3
Source: the Materials Project
Functional: PBE
Structure: optimized geometry

Summary:
As for the symmetry: P1. As for the energy: -7.92 eV per atom.

Cell lengths 10.123, 10.788, 12.258 Å; angles 81.91, 89.09, 91.81 degrees
Fractional coordinates of all 100 atoms:
O 0.952 0.140 0.095
O 0.471 0.737 0.049
B 0.312 0.279 0.296
B 0.474 0.850 0.084
B 0.482 0.091 0.521
O 0.931 0.002 0.850
O 0.687 0.441 0.706
O 0.874 0.288 0.456
O 0.431 0.295 0.060
B 0.831 0.390 0.387
B 0.196 0.658 0.689
O 0.740 0.369 0.309
B 0.571 0.367 0.717
O 0.234 0.783 0.676
B 0.218 0.608 0.101
B 0.728 0.560 0.715
B 0.426 0.230 0.972
O 0.487 0.205 0.520
O 0.062 0.628 0.710
O 0.812 0.985 0.036
O 0.956 0.584 0.024
O 0.207 0.071 0.140
O 0.472 0.969 0.515
O 0.055 0.261 0.928
O 0.266 0.398 0.281
O 0.733 0.567 0.193
O 0.296 0.227 0.923
B 0.997 0.248 0.044
O 0.116 0.497 0.389
B 0.396 0.528 0.642
O 0.841 0.605 0.657
O 0.067 0.933 0.623
O 0.573 0.245 0.749
O 0.172 0.981 0.446
O 0.355 0.891 0.123
O 0.163 0.210 0.762
O 0.880 0.506 0.401
B 0.708 0.882 0.034
O 0.600 0.398 0.152
O 0.970 0.800 0.949
B 0.971 0.606 0.632
B 0.974 0.347 0.854
B 0.432 0.631 0.009
O 0.860 0.977 0.227
B 0.598 0.146 0.836
O 0.158 0.578 0.202
O 0.980 0.362 0.078
B 0.491 0.318 0.155
O 0.664 0.639 0.775
O 0.624 0.736 0.518
B 0.802 0.023 0.891
O 0.941 0.004 0.470
B 0.495 0.707 0.497
B 0.591 0.914 0.838
B 0.005 0.898 0.869
O 0.332 0.557 0.066
O 0.972 0.334 0.747
B 0.757 0.693 0.174
B 0.285 0.987 0.134
B 0.568 0.678 0.840
O 0.441 0.595 0.543
O 0.528 0.171 0.938
O 0.544 0.025 0.803
B 0.874 0.031 0.121
B 0.700 0.843 0.486
B 0.794 0.873 0.286
B 0.062 0.974 0.512
O 0.586 0.921 0.083
O 0.725 0.893 0.378
B 0.904 0.214 0.548
B 0.141 0.868 0.701
O 0.233 0.183 0.351
O 0.799 0.753 0.261
O 0.917 0.441 0.897
B 0.053 0.250 0.703
O 0.740 0.757 0.072
O 0.159 0.697 0.026
B 0.253 0.058 0.375
O 0.024 0.223 0.602
O 0.748 0.906 0.567
O 0.282 0.564 0.691
B 0.029 0.695 0.997
O 0.120 0.883 0.809
B 0.004 0.534 0.439
O 0.534 0.802 0.821
O 0.364 0.997 0.342
O 0.022 0.597 0.528
B 0.834 0.008 0.543
O 0.496 0.596 0.919
B 0.187 0.227 0.868
O 0.434 0.261 0.253
O 0.451 0.424 0.693
B 0.418 0.916 0.426
O 0.422 0.791 0.427
O 0.709 0.906 0.905
O 0.817 0.114 0.588
B 0.690 0.446 0.220
B 0.179 0.488 0.292
O 0.743 0.133 0.859
B 0.951 0.466 0.002



Compound: CaSiO3
Source: the Materials Project
Functional: PBE
Structure: optimized geometry

Summary:
As for the symmetry: P2_1/c. As for the energy: -7.49 eV per atom.

Cell lengths 7.393, 7.151, 15.609 Å; angles 84.29, 90.00, 90.00 degrees
Fractional coordinates of all 60 atoms:
O 0.304 0.406 0.135
O 0.113 0.966 0.848
O 0.860 0.966 0.350
Si 0.623 0.558 0.303
Si 0.908 0.770 0.408
O 0.140 0.034 0.650
O 0.444 0.593 0.365
O 0.877 0.702 0.716
O 0.887 0.034 0.152
Si 0.841 0.229 0.092
O 0.127 0.238 0.490
O 0.876 0.271 0.611
O 0.624 0.232 0.491
O 0.125 0.669 0.200
O 0.377 0.298 0.784
Ca 0.876 0.030 0.748
O 0.123 0.298 0.284
Si 0.408 0.230 0.092
O 0.360 0.034 0.150
O 0.556 0.407 0.635
Ca 0.874 0.740 0.099
Si 0.877 0.558 0.803
O 0.387 0.966 0.348
O 0.613 0.034 0.652
Ca 0.126 0.260 0.901
Ca 0.124 0.970 0.252
Si 0.659 0.229 0.592
Si 0.092 0.230 0.592
Ca 0.376 0.970 0.752
O 0.376 0.768 0.509
Si 0.159 0.771 0.908
Ca 0.624 0.030 0.248
Si 0.592 0.770 0.908
O 0.624 0.271 0.111
Ca 0.374 0.260 0.401
O 0.876 0.232 0.991
O 0.873 0.762 0.510
O 0.875 0.331 0.800
O 0.627 0.762 0.010
O 0.625 0.331 0.300
O 0.196 0.406 0.635
Ca 0.378 0.737 0.102
O 0.623 0.702 0.216
O 0.373 0.238 0.990
O 0.375 0.669 0.700
Ca 0.878 0.263 0.398
Si 0.341 0.771 0.408
O 0.804 0.594 0.365
O 0.124 0.729 0.389
O 0.696 0.594 0.865
Ca 0.122 0.737 0.602
O 0.640 0.966 0.850
O 0.124 0.768 0.009
O 0.944 0.407 0.135
O 0.056 0.593 0.865
Si 0.377 0.442 0.697
O 0.376 0.729 0.889
Si 0.123 0.442 0.197
Ca 0.622 0.263 0.898
Ca 0.626 0.740 0.599



Compound: Gd3Co4Sn13
Source: the Materials Project
Functional: PBE
Structure: optimized geometry

Summary:
As for the symmetry: Pm-3n. As for the energy: -6.43 eV per atom.

Cell lengths 9.938, 9.938, 9.938 Å; angles 90.00, 90.00, 90.00 degrees
Fractional coordinates of all 40 atoms:
Gd 0.500 0.000 0.250
Co 0.750 0.250 0.250
Gd 0.750 0.500 0.000
Sn 0.804 0.500 0.657
Sn 0.000 0.000 0.000
Co 0.250 0.250 0.750
Co 0.750 0.750 0.750
Sn 0.000 0.304 0.157
Sn 0.500 0.657 0.196
Sn 0.343 0.196 0.500
Sn 0.804 0.500 0.343
Sn 0.157 0.000 0.696
Co 0.750 0.750 0.250
Sn 0.304 0.157 0.000
Sn 0.843 0.000 0.304
Sn 0.500 0.343 0.196
Gd 0.000 0.250 0.500
Gd 0.250 0.500 0.000
Sn 0.343 0.804 0.500
Sn 0.657 0.804 0.500
Sn 0.657 0.196 0.500
Co 0.250 0.750 0.750
Sn 0.500 0.343 0.804
Co 0.750 0.250 0.750
Sn 0.304 0.843 0.000
Sn 0.500 0.500 0.500
Gd 0.000 0.750 0.500
Sn 0.000 0.696 0.157
Sn 0.157 0.000 0.304
Sn 0.500 0.657 0.804
Sn 0.696 0.843 0.000
Sn 0.696 0.157 0.000
Co 0.250 0.750 0.250
Co 0.250 0.250 0.250
Sn 0.196 0.500 0.343
Sn 0.000 0.304 0.843
Sn 0.843 0.000 0.696
Sn 0.196 0.500 0.657
Sn 0.000 0.696 0.843
Gd 0.500 0.000 0.750



Compound: K3TeP3O17
Source: the Materials Project
Functional: PBE
Structure: optimized geometry

Summary:
As for the symmetry: P2_1/c. As for the energy: -5.82 eV per atom.

Cell lengths 7.645, 15.675, 16.098 Å; angles 69.84, 90.00, 90.00 degrees
Fractional coordinates of all 96 atoms:
O 0.295 0.534 0.351
O 0.325 0.851 0.806
O 0.754 0.852 0.960
Te 0.307 0.195 0.919
O 0.815 0.681 0.623
O 0.784 0.272 0.543
O 0.673 0.295 0.682
Te 0.807 0.805 0.581
O 0.120 0.648 0.100
P 0.220 0.631 0.027
O 0.278 0.151 0.728
O 0.407 0.148 0.397
O 0.301 0.952 0.442
O 0.795 0.466 0.149
O 0.102 0.392 0.164
O 0.216 0.728 0.457
O 0.699 0.048 0.558
K 0.798 0.601 0.491
O 0.131 0.564 0.554
P 0.664 0.250 0.148
P 0.915 0.395 0.138
O 0.185 0.319 0.377
O 0.778 0.849 0.772
K 0.702 0.601 0.991
O 0.084 0.597 0.968
O 0.716 0.272 0.043
Te 0.193 0.195 0.419
O 0.652 0.040 0.089
O 0.998 0.863 0.603
O 0.801 0.048 0.058
O 0.380 0.648 0.600
O 0.584 0.403 0.532
O 0.911 0.880 0.794
O 0.284 0.728 0.957
O 0.685 0.681 0.123
K 0.298 0.399 0.009
O 0.916 0.403 0.032
K 0.580 0.575 0.757
O 0.089 0.120 0.206
O 0.602 0.608 0.336
O 0.593 0.852 0.603
O 0.173 0.705 0.818
O 0.348 0.960 0.911
O 0.498 0.137 0.897
O 0.631 0.436 0.946
P 0.585 0.395 0.638
O 0.620 0.352 0.400
P 0.415 0.605 0.362
O 0.315 0.319 0.877
O 0.498 0.299 0.153
O 0.002 0.137 0.397
O 0.327 0.705 0.318
K 0.920 0.575 0.257
O 0.199 0.952 0.942
O 0.246 0.148 0.040
O 0.848 0.040 0.589
K 0.207 0.936 0.134
O 0.416 0.597 0.468
P 0.085 0.605 0.862
O 0.898 0.608 0.836
P 0.280 0.631 0.527
O 0.205 0.534 0.851
O 0.746 0.852 0.460
O 0.152 0.960 0.411
O 0.222 0.151 0.228
K 0.202 0.399 0.509
O 0.705 0.466 0.649
O 0.827 0.295 0.182
O 0.369 0.564 0.054
O 0.998 0.701 0.347
O 0.722 0.849 0.272
O 0.002 0.299 0.653
O 0.589 0.880 0.294
O 0.675 0.149 0.194
O 0.254 0.148 0.540
O 0.502 0.701 0.847
K 0.793 0.064 0.866
O 0.869 0.436 0.446
P 0.836 0.250 0.648
O 0.502 0.863 0.103
K 0.707 0.064 0.366
K 0.420 0.425 0.243
O 0.825 0.149 0.694
P 0.720 0.369 0.473
O 0.175 0.851 0.306
P 0.780 0.369 0.973
O 0.093 0.148 0.897
P 0.336 0.750 0.852
O 0.907 0.852 0.103
P 0.164 0.750 0.352
Te 0.693 0.805 0.081
K 0.293 0.936 0.634
O 0.398 0.392 0.664
K 0.080 0.425 0.743
O 0.411 0.120 0.706
O 0.880 0.352 0.900



Compound: SrHfTiSnO6
Source: the Materials Project
Functional: PBE
Structure: optimized geometry

Summary:
As for the symmetry: F-43m. As for the energy: -8.11 eV per atom.

Cell lengths 5.716, 5.716, 5.716 Å; angles 60.00, 60.00, 60.00 degrees
Fractional coordinates of all 10 atoms:
O 0.744 0.256 0.256
Hf 0.000 0.000 0.000
Ti 0.500 0.500 0.500
O 0.744 0.256 0.744
O 0.744 0.744 0.256
Sn 0.250 0.250 0.250
O 0.256 0.744 0.256
Sr 0.750 0.750 0.750
O 0.256 0.256 0.744
O 0.256 0.744 0.744



Compound: Li6Ca17Hg9
Source: the Materials Project
Functional: PBE
Structure: optimized geometry

Summary:
As for the symmetry: Im-3m. As for the energy: -1.87 eV per atom.

Cell lengths 13.569, 13.569, 13.569 Å; angles 109.47, 109.47, 109.47 degrees
Fractional coordinates of all 64 atoms:
Hg 0.293 0.293 0.587
Ca 0.000 0.454 0.191
Hg 0.244 0.244 0.000
Ca 0.263 0.454 0.454
Hg 0.707 0.000 0.293
Ca 0.546 0.546 0.737
Ca 0.500 0.500 0.000
Li 0.847 0.000 0.153
Hg 0.000 0.707 0.293
Li 0.305 0.153 0.153
Li 0.847 0.695 0.847
Ca 0.263 0.809 0.809
Ca 0.454 0.000 0.191
Ca 0.750 0.250 0.500
Ca 0.809 0.809 0.263
Li 0.153 0.153 0.305
Ca 0.809 0.263 0.809
Ca 0.546 0.809 0.000
Ca 0.191 0.454 0.000
Li 0.847 0.153 0.000
Ca 0.809 0.000 0.546
Ca 0.000 0.191 0.454
Ca 0.809 0.546 0.000
Ca 0.191 0.737 0.191
Hg 0.293 0.587 0.293
Ca 0.500 0.750 0.250
Li 0.000 0.153 0.847
Ca 0.737 0.546 0.546
Ca 0.000 0.546 0.809
Ca 0.454 0.454 0.263
Ca 0.000 0.809 0.546
Ca 0.500 0.000 0.500
Hg 0.756 0.000 0.756
Hg 0.293 0.000 0.707
Hg 0.244 0.000 0.244
Hg 0.413 0.707 0.707
Hg 0.000 0.244 0.244
Ca 0.500 0.250 0.750
Hg 0.587 0.293 0.293
Li 0.847 0.847 0.695
Ca 0.454 0.263 0.454
Ca 0.191 0.191 0.737
Ca 0.000 0.000 0.000
Ca 0.000 0.500 0.500
Hg 0.000 0.756 0.756
Ca 0.750 0.500 0.250
Ca 0.737 0.191 0.191
Ca 0.546 0.000 0.809
Ca 0.250 0.750 0.500
Hg 0.707 0.413 0.707
Li 0.695 0.847 0.847
Hg 0.707 0.293 0.000
Li 0.153 0.000 0.847
Hg 0.000 0.293 0.707
Ca 0.454 0.191 0.000
Hg 0.756 0.756 0.000
Ca 0.191 0.000 0.454
Li 0.000 0.847 0.153
Ca 0.546 0.737 0.546
Li 0.153 0.305 0.153
Ca 0.250 0.500 0.750
Hg 0.293 0.707 0.000
Li 0.153 0.847 0.000
Hg 0.707 0.707 0.413



| no. | ΔE_f (eV/atom) |
| --- | --- |
| 1 | -3.418 |
| 2 | -2.690 |
| 3 | -3.448 |
| 4 | -0.286 |
| 5 | -1.482 |
| 6 | -3.194 |
| 7 | -0.357 |